1.
The following is a DFT calculation (GGA-PBE) of a geometry-optimized U2Si5Os3 structure.

POSCAR file:
```
U2Si5Os3
1.0
5.8809 5.5929 0.0000
-5.8809 5.5929 0.0000
0.0000 2.8129 5.0325
U Si Os
4 10 6
Direct
0.8685 0.5952 0.7609
0.4048 0.1315 0.7391
0.1315 0.4048 0.2391
0.5952 0.8685 0.2609
0.0632 0.2627 0.8363
0.7373 0.9368 0.6637
0.9368 0.7373 0.1637
0.2627 0.0632 0.3363
0.2045 0.7955 0.7500
0.7955 0.2045 0.2500
0.5160 0.4840 0.7500
0.4840 0.5160 0.2500
0.7764 0.2236 0.7500
0.2236 0.7764 0.2500
0.2534 0.5434 0.6371
0.4566 0.7466 0.8629
0.7466 0.4566 0.3629
0.5434 0.2534 0.1371
0.9996 0.0004 0.7500
0.0004 0.9996 0.2500
```

symmetry: No. 15

2.
The following is a DFT calculation (GGA-PBE) of a geometry-optimized CeU2O6 structure.

POSCAR file:
```
CeU2O6
1.0
1.9253 -3.3348 0.0000
1.9253 3.3348 0.0000
0.0000 0.0000 9.3910
Ce U O
1 2 6
Direct
0.0000 0.0000 0.0000
0.3333 0.6667 0.6663
0.6667 0.3333 0.3337
0.0000 0.0000 0.2626
0.3333 0.6667 0.9052
0.6667 0.3333 0.5818
0.6667 0.3333 0.0948
0.0000 0.0000 0.7374
0.3333 0.6667 0.4182
```

symmetry: No. 164
excess energy over the best structure of this formula in the dataset: 0.00 eV per formula unit
corrected total energy (MP2020 scheme): -10.33 eV/atom

Number 1: formation enthalpy at 0 K -0.511 eV/atom, calculated density 11.910 g cm⁻³. Number 2: formation enthalpy at 0 K -3.858 eV/atom, calculated density 9.807 g cm⁻³.